(1)
Here is Na6TiZn3Si2S4O24 after structural relaxation from Materials Project. Energies are from PBE-GGA.

* ΔE_f: -218.7 kJ per mole of atoms
* total energy after the MP2020 corrections: -769.25 eV for the cell shown
* crystal system: triclinic

Unit cell a=9.004 b=9.009 c=22.083 alpha=90.13 beta=90.59 gamma=119.67
Fractional coordinates of all 120 atoms:
Na: 0.000 0.000 0.000
Na: 0.002 0.259 0.488
Na: 0.028 0.320 0.832
Na: 0.305 0.590 0.336
Na: 0.319 0.287 0.914
Na: 0.334 0.295 0.408
Na: 0.335 0.931 0.162
Na: 0.344 0.649 0.657
Na: 0.364 0.981 0.493
Na: 0.610 0.617 0.493
Na: 0.627 0.246 0.999
Na: 0.658 0.583 0.821
Na: 0.663 0.941 0.581
Na: 0.669 0.957 0.079
Na: 0.695 0.660 0.170
Na: 0.951 0.260 0.161
Na: 0.974 0.623 0.252
Na: 0.986 0.628 0.743
Ti: 0.346 0.278 0.261
Ti: 0.981 0.603 0.098
Ti: 0.993 0.620 0.597
Zn: 0.008 0.615 0.899
Zn: 0.313 0.276 0.063
Zn: 0.333 0.309 0.565
Zn: 0.352 0.290 0.750
Zn: 0.638 0.919 0.421
Zn: 0.667 0.944 0.726
Zn: 0.668 0.963 0.929
Zn: 0.683 0.952 0.230
Zn: 0.984 0.612 0.392
Si: 0.001 0.322 0.991
Si: 0.034 0.987 0.158
Si: 0.283 0.617 0.492
Si: 0.618 0.279 0.156
Si: 0.633 0.589 0.661
Si: 0.662 0.646 0.326
S: 0.027 0.285 0.661
S: 0.287 0.905 0.994
S: 0.323 0.575 0.160
S: 0.323 0.987 0.658
S: 0.367 0.660 0.827
S: 0.369 0.957 0.326
S: 0.656 0.242 0.826
S: 0.703 0.324 0.494
S: 0.703 0.619 0.992
S: 0.962 0.247 0.327
S: 0.962 0.952 0.829
S: 0.999 0.912 0.495
O: 0.013 0.421 0.928
O: 0.023 0.452 0.655
O: 0.023 0.835 0.440
O: 0.026 0.797 0.152
O: 0.102 0.257 0.605
O: 0.104 0.099 0.097
O: 0.131 0.109 0.822
O: 0.136 0.261 0.323
O: 0.138 0.314 0.715
O: 0.156 0.082 0.504
O: 0.160 0.586 0.154
O: 0.167 0.298 0.997
O: 0.167 0.592 0.432
O: 0.168 0.807 0.654
O: 0.172 0.095 0.214
O: 0.175 0.634 0.552
O: 0.178 0.828 0.939
O: 0.192 0.640 0.830
O: 0.199 0.802 0.329
O: 0.200 0.807 0.049
O: 0.293 0.063 0.712
O: 0.293 0.468 0.215
O: 0.300 0.443 0.496
O: 0.313 0.082 0.996
O: 0.338 0.083 0.602
O: 0.346 0.483 0.825
O: 0.349 0.113 0.321
O: 0.356 0.501 0.106
O: 0.443 0.752 0.770
O: 0.454 0.939 0.272
O: 0.457 0.916 0.991
O: 0.465 0.752 0.167
O: 0.469 0.986 0.383
O: 0.471 0.794 0.495
O: 0.474 0.964 0.664
O: 0.477 0.455 0.316
O: 0.478 0.748 0.880
O: 0.500 0.261 0.823
O: 0.510 0.257 0.095
O: 0.515 0.506 0.601
O: 0.525 0.291 0.501
O: 0.527 0.320 0.214
O: 0.536 0.464 0.997
O: 0.561 0.479 0.722
O: 0.608 0.713 0.387
O: 0.643 0.152 0.884
O: 0.644 0.116 0.167
O: 0.647 0.777 0.665
O: 0.675 0.752 0.265
O: 0.678 0.152 0.774
O: 0.693 0.778 0.991
O: 0.701 0.158 0.492
O: 0.773 0.430 0.441
O: 0.784 0.599 0.937
O: 0.811 0.419 0.828
O: 0.812 0.459 0.152
O: 0.813 0.418 0.549
O: 0.816 0.642 0.047
O: 0.820 0.136 0.994
O: 0.827 0.607 0.649
O: 0.827 0.623 0.333
O: 0.841 0.956 0.164
O: 0.846 0.934 0.493
O: 0.849 0.923 0.775
O: 0.853 0.143 0.667
O: 0.860 0.169 0.271
O: 0.880 0.149 0.382
O: 0.886 0.979 0.885
O: 0.971 0.797 0.549
O: 0.975 0.793 0.833
O: 0.977 0.436 0.049
O: 0.992 0.425 0.329

=====

(2)
Here is Na2Ti4Zn4SiS11O48 after structural relaxation from Materials Project. Energies are from PBE-GGA.

* ΔE_f: -213.2 kJ per mole of atoms
* total energy after the MP2020 corrections: -1447.12 eV for the cell shown
* crystal system: triclinic

Unit cell a=8.664 b=14.990 c=22.425 alpha=89.94 beta=89.85 gamma=89.95
Fractional coordinates of all 210 atoms:
Na: 0.000 0.000 0.000
Na: 0.001 0.001 0.495
Na: 0.002 0.339 0.832
Na: 0.502 0.503 0.501
Na: 0.503 0.506 0.997
Na: 0.506 0.841 0.338
Ti: 0.000 0.337 0.193
Ti: 0.499 0.837 0.687
Ti: 0.502 0.172 0.522
Ti: 0.505 0.175 0.021
Ti: 0.505 0.839 0.182
Ti: 0.512 0.175 0.812
Ti: 0.989 0.340 0.476
Ti: 0.990 0.341 0.977
Ti: 0.991 0.338 0.681
Ti: 0.993 0.678 0.312
Ti: 0.998 0.675 0.814
Ti: 0.998 0.681 0.520
Zn: 0.000 0.002 0.151
Zn: 0.001 0.002 0.849
Zn: 0.001 0.675 0.023
Zn: 0.002 0.004 0.649
Zn: 0.498 0.502 0.349
Zn: 0.499 0.170 0.312
Zn: 0.499 0.506 0.149
Zn: 0.500 0.835 0.977
Zn: 0.505 0.501 0.647
Zn: 0.505 0.501 0.852
Zn: 0.509 0.839 0.477
Zn: 0.999 0.002 0.352
Si: 0.642 0.319 0.917
Si: 0.704 0.340 0.581
Si: 0.850 0.822 0.415
S: 0.142 0.483 0.580
S: 0.143 0.194 0.581
S: 0.145 0.817 0.917
S: 0.146 0.528 0.917
S: 0.148 0.149 0.248
S: 0.152 0.857 0.248
S: 0.207 0.506 0.249
S: 0.213 0.839 0.582
S: 0.214 0.171 0.917
S: 0.285 0.669 0.416
S: 0.286 0.337 0.082
S: 0.295 0.005 0.749
S: 0.350 0.357 0.750
S: 0.353 0.650 0.749
S: 0.354 0.983 0.081
S: 0.355 0.316 0.417
S: 0.357 0.028 0.416
S: 0.357 0.692 0.082
S: 0.644 0.028 0.916
S: 0.644 0.358 0.248
S: 0.644 0.694 0.582
S: 0.647 0.651 0.249
S: 0.647 0.982 0.582
S: 0.705 0.005 0.248
S: 0.711 0.672 0.917
S: 0.789 0.172 0.417
S: 0.792 0.839 0.081
S: 0.798 0.505 0.750
S: 0.852 0.858 0.749
S: 0.857 0.151 0.750
S: 0.857 0.482 0.084
S: 0.857 0.529 0.417
S: 0.858 0.194 0.082
O: 0.064 0.569 0.574
O: 0.068 0.114 0.302
O: 0.070 0.436 0.922
O: 0.071 0.242 0.237
O: 0.072 0.906 0.908
O: 0.073 0.105 0.587
O: 0.073 0.568 0.862
O: 0.074 0.778 0.969
O: 0.075 0.438 0.635
O: 0.076 0.238 0.528
O: 0.079 0.892 0.195
O: 0.086 0.765 0.259
O: 0.103 0.582 0.259
O: 0.105 0.424 0.238
O: 0.107 0.759 0.862
O: 0.110 0.916 0.590
O: 0.114 0.092 0.912
O: 0.114 0.424 0.528
O: 0.116 0.579 0.971
O: 0.119 0.249 0.636
O: 0.119 0.254 0.924
O: 0.119 0.754 0.577
O: 0.122 0.096 0.194
O: 0.135 0.912 0.302
O: 0.180 0.343 0.741
O: 0.184 0.664 0.760
O: 0.186 0.325 0.429
O: 0.186 0.349 0.028
O: 0.186 0.677 0.361
O: 0.187 0.026 0.414
O: 0.187 0.656 0.471
O: 0.187 0.995 0.089
O: 0.189 0.687 0.080
O: 0.190 0.324 0.136
O: 0.203 0.024 0.695
O: 0.203 0.984 0.802
O: 0.298 0.523 0.195
O: 0.299 0.484 0.302
O: 0.306 0.852 0.528
O: 0.309 0.185 0.863
O: 0.309 0.492 0.587
O: 0.311 0.158 0.971
O: 0.311 0.165 0.255
O: 0.311 0.516 0.909
O: 0.312 0.825 0.636
O: 0.313 0.186 0.574
O: 0.313 0.822 0.918
O: 0.323 0.845 0.239
O: 0.369 0.412 0.803
O: 0.371 0.595 0.695
O: 0.374 0.751 0.420
O: 0.375 0.264 0.363
O: 0.378 0.928 0.028
O: 0.380 0.254 0.074
O: 0.382 0.588 0.412
O: 0.386 0.416 0.086
O: 0.396 0.084 0.470
O: 0.396 0.750 0.136
O: 0.397 0.924 0.737
O: 0.398 0.083 0.760
O: 0.419 0.265 0.760
O: 0.420 0.742 0.737
O: 0.422 0.938 0.422
O: 0.424 0.392 0.696
O: 0.425 0.067 0.362
O: 0.425 0.940 0.135
O: 0.426 0.270 0.471
O: 0.427 0.406 0.414
O: 0.427 0.731 0.028
O: 0.429 0.603 0.090
O: 0.429 0.615 0.802
O: 0.431 0.072 0.074
O: 0.567 0.414 0.914
O: 0.568 0.071 0.576
O: 0.570 0.941 0.922
O: 0.571 0.263 0.974
O: 0.574 0.615 0.303
O: 0.576 0.072 0.862
O: 0.576 0.398 0.195
O: 0.576 0.733 0.529
O: 0.576 0.939 0.637
O: 0.577 0.605 0.591
O: 0.580 0.744 0.241
O: 0.583 0.269 0.256
O: 0.602 0.427 0.585
O: 0.602 0.921 0.238
O: 0.603 0.081 0.255
O: 0.608 0.248 0.569
O: 0.609 0.085 0.970
O: 0.612 0.253 0.858
O: 0.613 0.593 0.908
O: 0.617 0.752 0.636
O: 0.624 0.755 0.918
O: 0.624 0.928 0.529
O: 0.626 0.598 0.195
O: 0.633 0.415 0.302
O: 0.667 0.818 0.416
O: 0.682 0.845 0.738
O: 0.685 0.161 0.757
O: 0.686 0.830 0.136
O: 0.687 0.160 0.470
O: 0.687 0.186 0.074
O: 0.688 0.486 0.086
O: 0.689 0.517 0.412
O: 0.697 0.855 0.028
O: 0.702 0.191 0.363
O: 0.708 0.484 0.803
O: 0.709 0.523 0.696
O: 0.796 0.982 0.301
O: 0.798 0.018 0.193
O: 0.807 0.656 0.970
O: 0.813 0.023 0.912
O: 0.814 0.995 0.591
O: 0.816 0.686 0.576
O: 0.818 0.661 0.258
O: 0.819 0.681 0.862
O: 0.820 0.349 0.237
O: 0.822 0.323 0.639
O: 0.828 0.350 0.525
O: 0.833 0.321 0.926
O: 0.867 0.913 0.802
O: 0.879 0.098 0.696
O: 0.881 0.757 0.080
O: 0.883 0.249 0.135
O: 0.889 0.094 0.414
O: 0.889 0.583 0.471
O: 0.890 0.919 0.089
O: 0.891 0.253 0.427
O: 0.891 0.423 0.028
O: 0.899 0.754 0.359
O: 0.901 0.584 0.760
O: 0.905 0.425 0.741
O: 0.919 0.766 0.759
O: 0.924 0.435 0.136
O: 0.925 0.243 0.743
O: 0.926 0.114 0.803
O: 0.926 0.239 0.028
O: 0.926 0.567 0.362
O: 0.927 0.106 0.085
O: 0.927 0.893 0.696
O: 0.930 0.764 0.474
O: 0.932 0.567 0.077
O: 0.934 0.439 0.424
O: 0.943 0.913 0.414